Record 1
First-principles (PBE+U) data for crystalline Li3Mn4B4O12 at its relaxed geometry, as listed in the Materials Project database.

Values from the calculation:
Total DFT energy (no corrections): -7.4034 eV per atom
Crystal system: triclinic
Energy above the most stable polymorph in this dataset: 6 meV/atom
Total moment: 38.0 μB per cell

```
46
Lattice="-2.918 -1.688 4.070 -1.013 -8.104 -4.099 10.396 1.290 5.013" Properties=species:S:1:pos:R:3 pbc="T T T"
O 5.758 -5.578 0.106
O 0.113 -4.814 3.518
O 7.930 -0.200 4.440
O 4.915 -2.383 4.570
O -1.442 -5.990 1.407
O 0.723 -2.882 4.839
O 0.441 -3.578 0.345
O 3.119 -1.404 5.855
O 6.149 -5.024 4.493
O 2.071 -3.492 2.941
O 6.215 -3.574 1.335
O -0.205 -5.912 -2.000
O 1.597 -6.374 0.849
O 0.583 -1.351 1.244
O 8.172 -2.557 3.915
O 5.201 -0.234 5.558
O 1.197 -8.272 -0.594
O 7.583 -5.913 2.752
O 6.824 -2.632 7.120
O 5.785 -7.241 3.642
O -1.216 -2.790 1.884
O -1.358 -8.214 0.501
O 4.311 -4.963 1.925
O 2.926 -6.663 -1.114
Mn -0.879 -7.879 -1.602
Mn 1.350 -0.955 5.170
Mn 2.396 -4.474 1.100
Mn 7.234 -0.650 6.416
Mn -1.750 -4.412 2.796
Mn 4.926 -7.428 -0.283
Mn 4.017 -4.046 3.841
Mn 8.145 -3.878 2.267
Li 2.358 -1.580 2.123
Li 0.325 -6.399 2.254
Li 3.974 -6.824 2.655
Li 7.501 -6.434 0.802
Li 6.637 -3.189 4.882
Li -0.748 -5.037 -0.223
B -0.048 -2.539 1.180
B 6.504 -6.062 3.650
B 8.581 -1.258 3.811
B 5.435 -4.691 1.118
B 4.408 -1.358 5.285
B 1.883 -7.093 -0.273
B 0.983 -3.690 3.792
B -1.996 -7.251 1.339
```

***

Record 2
First-principles (PBE+U) data for crystalline LiCo5SbO8 at its relaxed geometry, as listed in the Materials Project database.

Values from the calculation:
Total DFT energy (no corrections): -5.7473 eV per atom
Crystal system: monoclinic
Energy above the most stable polymorph in this dataset: 193 meV/atom
Total moment: 15.0 μB per cell

```
15
Lattice="5.556 -0.087 3.091 1.771 5.042 3.091 0.000 0.000 6.182" Properties=species:S:1:pos:R:3 pbc="T T T"
O 4.470 1.239 4.637
O 1.793 1.352 3.246
O 2.591 3.614 4.637
O 1.793 1.352 6.028
O 4.700 1.326 7.728
O 5.515 3.623 9.138
O 5.515 3.623 6.318
O 2.855 3.717 7.728
Co 3.699 2.560 6.341
Co 4.516 4.824 7.728
Co 3.699 2.560 9.115
Co 0.766 0.676 1.546
Co 6.526 4.295 10.819
Li 2.902 1.804 4.637
Sb 6.356 2.462 7.728
```